Computed, not measured: an optimized crystal structure of RbInP2O7 at the PBE level of DFT.

Summary:
The formation energy comes out at -2.61 eV per atom. Its total energy is -0.4886 Ry per atom. The calculation puts the calculated density at 3.69 g cm⁻³.

Cell: 10.572 7.650 8.647 Å, 74.56 90.00 90.00°
Atoms (fractional coordinates):
O (0.105, 0.175, 0.518)
O (0.223, 0.046, 0.231)
O (0.088, 0.358, 0.001)
O (0.271, 0.423, 0.255)
O (0.503, 0.492, 0.222)
O (0.997, 0.492, 0.722)
O (0.434, 0.165, 0.308)
O (0.771, 0.577, 0.245)
O (0.497, 0.508, 0.778)
O (0.895, 0.825, 0.482)
O (0.934, 0.835, 0.192)
O (0.277, 0.046, 0.731)
O (0.912, 0.642, 0.999)
O (0.229, 0.423, 0.755)
O (0.605, 0.825, 0.982)
O (0.395, 0.175, 0.018)
O (0.566, 0.835, 0.692)
O (0.581, 0.130, 0.769)
O (0.588, 0.642, 0.499)
O (0.081, 0.870, 0.731)
O (0.729, 0.577, 0.745)
O (0.777, 0.954, 0.769)
O (0.419, 0.870, 0.231)
O (0.723, 0.954, 0.269)
O (0.919, 0.130, 0.269)
O (0.412, 0.358, 0.501)
O (0.003, 0.508, 0.278)
O (0.066, 0.165, 0.808)
In (0.900, 0.737, 0.743)
In (0.600, 0.737, 0.243)
In (0.400, 0.263, 0.757)
In (0.100, 0.263, 0.257)
Rb (0.185, 0.686, 0.448)
Rb (0.685, 0.314, 0.052)
Rb (0.815, 0.314, 0.552)
Rb (0.315, 0.686, 0.948)
P (0.903, 0.632, 0.175)
P (0.364, 0.062, 0.187)
P (0.636, 0.938, 0.813)
P (0.097, 0.368, 0.825)
P (0.403, 0.368, 0.325)
P (0.864, 0.938, 0.313)
P (0.597, 0.632, 0.675)
P (0.136, 0.062, 0.687)